Material: Pr2Mo3O12
Method: DFT, GGA+U
State: optimized geometry

Cell lengths 10.739, 10.768, 11.071 Å; angles 90.00, 90.00, 90.00 degrees
Space group Pba2 (No. 32)
One atom of each set of equivalent atoms:
Pr1 0.007 0.189 0.000
Pr2 0.189 0.505 0.525
Mo1 0.003 0.793 0.620
Mo2 0.206 0.511 0.906
Mo3 0.243 0.757 0.263
O1 0.006 0.370 0.574
O2 0.020 0.195 0.779
O3 0.114 0.118 0.545
O4 0.116 0.388 0.969
O5 0.126 0.828 0.171
O6 0.131 0.994 0.951
O7 0.146 0.182 0.166
O8 0.157 0.844 0.582
O9 0.158 0.662 0.956
O10 0.171 0.644 0.360
O11 0.183 0.372 0.355
O12 0.193 0.511 0.746

Summary:
DFT total energy   -7.55 eV/atom
Energy of formation from the pure elements   -2.63 eV/atom
Volume   18.83 Å³ per atom


Material: Li2Si4Ni5O14
Method: DFT, GGA+U
State: optimized geometry

Cell lengths 5.411, 7.436, 14.392 Å; angles 85.54, 79.94, 75.56 degrees
Space group P-1 (No. 2)
One atom of each set of equivalent atoms:
Li1 0.230 0.120 0.269
Li2 0.239 0.626 0.774
Si1 0.197 0.514 0.200
Si2 0.211 0.021 0.694
Si3 0.490 0.294 0.430
Si4 0.491 0.787 0.933
Ni1 0.000 0.000 0.500
Ni2 0.000 0.500 0.000
Ni3 0.081 0.997 0.096
Ni4 0.098 0.557 0.581
Ni5 0.355 0.726 0.351
Ni6 0.374 0.235 0.852
O1 0.029 0.941 0.367
O2 0.040 0.454 0.863
O3 0.112 0.392 0.293
O4 0.114 0.897 0.785
O5 0.185 0.844 0.981
O6 0.201 0.349 0.490
O7 0.286 0.703 0.216
O8 0.288 0.759 0.499
O9 0.322 0.193 0.719
O10 0.325 0.296 0.988
O11 0.412 0.037 0.127
O12 0.426 0.538 0.640
O13 0.469 0.380 0.143
O14 0.478 0.891 0.632

Summary:
DFT total energy   -6.36 eV/atom
Energy of formation from the pure elements   -2.30 eV/atom
Volume   11.04 Å³ per atom


no.,spin magnetization (μB/atom)
1,0.00
2,0.40